[1]
The following is a PBE-GGA calculation of crystalline Si17CO34 at its relaxed geometry, from the Materials Project.

## Properties
As for the total energy: -7.7736 eV per atom. Its crystal system is cubic. The formation energy comes out at -3036 meV per atom.

Geometry as POSCAR:
```
Si17CO34
1.0
0.276 0.810 14.126
-11.735 3.445 7.120
-6.678 -9.756 7.779
O Si C
68 34 2
Direct
0.638 0.454 0.454
0.518 0.820 0.331
0.331 0.518 0.820
0.732 0.430 0.919
0.502 0.502 0.998
0.919 0.919 0.430
0.454 0.454 0.638
0.820 0.331 0.518
0.612 0.796 0.796
0.331 0.820 0.331
0.625 0.939 0.125
0.311 0.939 0.625
0.454 0.454 0.454
0.625 0.311 0.939
0.125 0.625 0.939
0.502 0.998 0.502
0.820 0.331 0.331
0.430 0.919 0.919
0.311 0.939 0.125
0.748 0.252 0.748
0.430 0.732 0.919
0.998 0.502 0.502
0.311 0.125 0.939
0.502 0.998 0.998
0.518 0.331 0.331
0.748 0.748 0.252
0.311 0.625 0.939
0.796 0.796 0.612
0.252 0.252 0.748
0.919 0.732 0.430
0.311 0.125 0.625
0.939 0.311 0.125
0.125 0.625 0.311
0.625 0.125 0.939
0.919 0.430 0.919
0.331 0.331 0.518
0.919 0.919 0.732
0.625 0.939 0.311
0.252 0.748 0.748
0.939 0.125 0.311
0.796 0.612 0.796
0.939 0.311 0.625
0.454 0.638 0.454
0.252 0.748 0.252
0.125 0.939 0.625
0.625 0.311 0.125
0.311 0.625 0.125
0.939 0.125 0.625
0.732 0.919 0.430
0.125 0.311 0.939
0.331 0.331 0.820
0.518 0.331 0.820
0.430 0.919 0.732
0.939 0.625 0.311
0.998 0.998 0.502
0.331 0.518 0.331
0.732 0.919 0.919
0.919 0.732 0.919
0.998 0.502 0.998
0.820 0.518 0.331
0.748 0.252 0.252
0.625 0.125 0.311
0.939 0.625 0.125
0.796 0.796 0.796
0.125 0.311 0.625
0.331 0.820 0.518
0.125 0.939 0.311
0.919 0.430 0.732
0.842 0.473 0.842
0.254 0.254 0.861
0.254 0.254 0.631
0.389 0.619 0.996
0.254 0.631 0.861
0.861 0.254 0.631
0.619 0.996 0.389
0.750 0.750 0.750
0.631 0.861 0.254
0.408 0.408 0.777
0.861 0.631 0.254
0.254 0.631 0.254
0.500 0.500 0.500
0.996 0.996 0.389
0.389 0.996 0.619
0.996 0.389 0.619
0.254 0.861 0.254
0.389 0.996 0.996
0.996 0.996 0.619
0.777 0.408 0.408
0.619 0.389 0.996
0.861 0.254 0.254
0.842 0.842 0.842
0.996 0.619 0.389
0.254 0.861 0.631
0.473 0.842 0.842
0.619 0.996 0.996
0.408 0.408 0.408
0.842 0.842 0.473
0.631 0.254 0.254
0.996 0.389 0.996
0.631 0.254 0.861
0.408 0.777 0.408
0.996 0.619 0.996
0.250 0.250 0.250
0.000 0.000 0.000
```

---

[2]
The following is a PBE-GGA calculation of crystalline Y2SiCO7 at its relaxed geometry, from the Materials Project.

## Properties
As for the total energy: -8.5114 eV per atom. Its crystal system is triclinic. The formation energy comes out at -3292 meV per atom.

Geometry as POSCAR:
```
Y2SiCO7
1.0
6.532 0.000 0.000
-0.310 6.644 0.000
-2.995 -0.789 5.972
O Si C Y
14 2 2 4
Direct
0.127 0.332 0.093
0.735 0.404 0.165
0.479 0.751 0.563
0.343 0.284 0.750
0.023 0.647 0.377
0.668 0.017 0.910
0.657 0.716 0.250
0.977 0.353 0.623
0.873 0.668 0.907
0.265 0.596 0.835
0.886 0.966 0.658
0.332 0.983 0.090
0.521 0.249 0.437
0.114 0.034 0.342
0.263 0.158 0.242
0.737 0.842 0.758
0.194 0.410 0.734
0.806 0.590 0.266
0.257 0.667 0.189
0.251 0.913 0.701
0.743 0.333 0.811
0.749 0.087 0.299
```